The following is a DFT calculation (PBE with a Hubbard U) of Na5Co2PC4O16 after structural relaxation.

Unit cell a=9.9772 b=9.9772 c=9.8593 alpha=60.42 beta=60.42 gamma=90.89
Closest atoms and distances in Å follow each position.
Fractional positions:
O1 0.3504 0.3103 0.7912  1 C 1.31
O2 0.3531 0.3940 0.9653  1 C 1.30
Na1 0.9088 0.6545 0.7601  6 O 2.38-2.52
O3 0.9438 0.3150 0.1216  1 P 1.55
O4 0.6897 0.6496 0.7088  1 C 1.31
O5 0.8617 0.6521 0.4500  1 C 1.30
C1 0.2824 0.3539 0.4335  3 O 1.30-1.31
Na2 0.3453 0.0908 0.3239  6 O 2.39-2.51
O6 0.6896 0.1408 0.9631  1 C 1.30
O7 0.1383 0.3479 0.5500  1 C 1.30
O8 0.4033 0.6856 0.9619  1 C 1.30
C2 0.7141 0.2853 0.5706  3 O 1.30
O9 0.3985 0.8592 0.2921  1 C 1.30
C3 0.2853 0.7141 0.0706  3 O 1.30
O10 0.1408 0.6015 0.2079  1 C 1.30
P1 0.8757 0.1243 0.2500  4 O 1.55-1.57
O11 0.0599 0.9389 0.8800  1 P 1.57
Na3 0.9092 0.6547 0.1761  6 O 2.39-2.51
O12 0.3479 0.1383 0.0500  1 C 1.30
O13 0.8592 0.3104 0.5369  1 C 1.30
O14 0.3150 0.9438 0.6216  1 P 1.55
O15 0.3103 0.3504 0.2912  1 C 1.31
Na4 0.6547 0.9092 0.6761  6 O 2.39-2.51
Na5 0.9130 0.0870 0.7500  6 O 2.46-2.49
O16 0.9389 0.0599 0.3800  1 P 1.57
O17 0.0611 0.9401 0.6200  1 P 1.57
P2 0.1243 0.8757 0.7500  4 O 1.55-1.57
Co1 0.5000 0.5000 0.0000  6 O 2.05-2.09
C4 0.3539 0.2824 0.9335  3 O 1.30-1.31
Co2 0.5000 0.5000 0.5000  6 O 2.05-2.09
C5 0.6461 0.7176 0.0665  3 O 1.30-1.31
O18 0.9401 0.0611 0.1200  1 P 1.57
Na6 0.6545 0.9088 0.2601  6 O 2.38-2.52
O19 0.3940 0.3531 0.4653  1 C 1.30
Na7 0.3455 0.0912 0.7399  6 O 2.38-2.52
O20 0.6856 0.4033 0.4619  1 C 1.30
C6 0.2859 0.7147 0.4294  3 O 1.30
O21 0.3144 0.5967 0.5381  1 C 1.30
O22 0.6850 0.0562 0.3784  1 P 1.55
Co3 0.5000 0.0000 0.0000  6 O 2.09-2.11
O23 0.6521 0.8617 0.9500  1 C 1.30
O24 0.1408 0.6896 0.4631  1 C 1.30
O25 0.5967 0.3144 0.0381  1 C 1.30
O26 0.6469 0.6060 0.0347  1 C 1.30
Na8 0.0912 0.3455 0.2399  6 O 2.38-2.52
O27 0.0562 0.6850 0.8784  1 P 1.55
C7 0.7147 0.2859 0.9294  3 O 1.30
O28 0.6496 0.6897 0.2088  1 C 1.31
Co4 0.0000 0.5000 0.5000  6 O 2.09-2.11
O29 0.8592 0.3985 0.7921  1 C 1.30
Na9 0.0870 0.9130 0.2500  6 O 2.46-2.49
C8 0.7176 0.6461 0.5665  3 O 1.30-1.31
O30 0.6060 0.6469 0.5347  1 C 1.30
Na10 0.0908 0.3453 0.8239  6 O 2.39-2.51
O31 0.3104 0.8592 0.0369  1 C 1.30
O32 0.6015 0.1408 0.7079  1 C 1.30

## Properties
Density: 2.7 g cm⁻³
Distance to the lowest polymorph of the same formula: 0.5 kJ per mole of atoms
Space group: C2/c, No. 15
DFT total energy: -182.1 eV per formula unit